## Ta22W4O67 (PBE with a Hubbard U)

Data for a relaxed Ta22W4O67 crystal.

Computed properties:
Its total DFT energy (no corrections) is -9.345 eV per atom. For the size of the total moment, the calculation gives 0.0 μB per formula unit. The calculation puts the formation enthalpy at 0 K at -288.7 eV/f.u.

Unit cell a=24.433 b=6.196 c=7.753 alpha=90.00 beta=90.00 gamma=82.86
Positions (direct):
Ta 0.311 0.925 0.000
Ta 0.308 0.924 0.500
Ta 0.159 0.938 0.500
Ta 0.157 0.942 0.000
Ta 0.456 0.760 0.999
Ta 0.457 0.761 0.501
Ta 0.615 0.667 0.015
Ta 0.615 0.667 0.486
Ta 0.774 0.580 0.501
Ta 0.774 0.581 0.999
Ta 0.925 0.489 0.500
Ta 0.925 0.491 0.000
Ta 0.074 0.512 0.500
Ta 0.074 0.514 0.000
Ta 0.226 0.420 0.500
Ta 0.387 0.336 0.000
Ta 0.543 0.244 0.503
Ta 0.542 0.243 0.998
Ta 0.841 0.063 0.500
Ta 0.840 0.064 0.000
Ta 0.692 0.078 0.502
Ta 0.692 0.077 0.998
W 0.229 0.418 0.000
W 0.386 0.334 0.500
W 0.000 0.002 0.000
W 0.000 0.001 0.500
O 0.771 0.916 0.498
O 0.771 0.916 0.003
O 0.606 0.985 0.524
O 0.606 0.985 0.977
O 0.878 0.769 0.000
O 0.878 0.769 0.500
O 0.988 0.697 0.500
O 0.988 0.697 0.000
O 0.310 0.926 0.750
O 0.310 0.926 0.250
O 0.691 0.723 0.519
O 0.691 0.724 0.980
O 0.776 0.603 0.250
O 0.780 0.601 0.750
O 0.611 0.684 0.250
O 0.164 0.907 0.750
O 0.164 0.907 0.249
O 0.451 0.742 0.749
O 0.455 0.736 0.250
O 0.932 0.468 0.250
O 0.932 0.468 0.750
O 0.076 0.864 0.000
O 0.076 0.868 0.500
O 0.540 0.608 0.972
O 0.540 0.602 0.526
O 0.367 0.647 0.000
O 0.366 0.640 0.500
O 0.847 0.397 0.001
O 0.847 0.397 0.499
O 0.257 0.688 0.500
O 0.258 0.680 0.000
O 0.744 0.307 0.001
O 0.743 0.307 0.498
O 0.154 0.599 0.500
O 0.155 0.593 0.000
O 0.633 0.357 0.515
O 0.633 0.358 0.985
O 0.462 0.405 0.498
O 0.463 0.412 0.003
O 0.924 0.126 0.000
O 0.924 0.127 0.500
O 0.070 0.530 0.750
O 0.070 0.530 0.250
O 0.546 0.262 0.750
O 0.551 0.268 0.250
O 0.836 0.089 0.750
O 0.836 0.089 0.250
O 0.388 0.320 0.255
O 0.388 0.320 0.745
O 0.223 0.399 0.245
O 0.223 0.399 0.755
O 0.308 0.274 0.500
O 0.307 0.273 0.000
O 0.690 0.072 0.750
O 0.684 0.067 0.250
O 0.013 0.303 0.000
O 0.013 0.303 0.500
O 0.120 0.229 0.000
O 0.122 0.229 0.500
O 0.500 0.003 0.497
O 0.498 0.007 0.003
O 0.391 0.007 0.001
O 0.392 0.007 0.499
O 0.228 0.086 0.000
O 0.228 0.086 0.500
O 0.001 0.000 0.750
O 0.001 0.000 0.250